Entry 1:
An optimized crystal structure of Tl2PO4. Source: the Materials Project, functional GGA-PBE.

Results
Energy of formation, eV per atom: -1.867
Energy with MP2020 corrections, eV per atom: -6.14
Offset from the most stable computed form, eV/atom: 0.032

Cell lengths 5.7649, 7.6890, 10.2732 Å; angles 90.00, 90.00, 90.00 degrees
Sites, in units of the cell vectors:
Tl: 0.7500 0.4848 0.1948
O: 0.7500 0.9912 0.5798
P: 0.7500 0.6910 0.9215
O: 0.7500 0.2564 0.4320
P: 0.2500 0.3090 0.0785
Tl: 0.2500 0.3427 0.4135
O: 0.2500 0.5088 0.0798
Tl: 0.7500 0.9848 0.3052
O: 0.7500 0.4912 0.9202
Tl: 0.7500 0.6573 0.5865
O: 0.7500 0.7564 0.0680
P: 0.2500 0.8090 0.4215
O: 0.2500 0.0088 0.4202
O: 0.4755 0.2388 0.1473
Tl: 0.2500 0.0152 0.6948
P: 0.7500 0.1910 0.5785
Tl: 0.2500 0.5152 0.8052
O: 0.4755 0.7388 0.3527
O: 0.5245 0.2612 0.6473
O: 0.2500 0.7436 0.5680
O: 0.9755 0.7612 0.8527
O: 0.5245 0.7612 0.8527
O: 0.9755 0.2612 0.6473
O: 0.0245 0.2388 0.1473
Tl: 0.7500 0.1573 0.9135
O: 0.0245 0.7388 0.3527
O: 0.2500 0.2436 0.9320
Tl: 0.2500 0.8427 0.0865

Entry 2:
An optimized crystal structure of Tl2PO4. Source: the Materials Project, functional GGA-PBE.

Results
Energy of formation, eV per atom: -1.822
Energy with MP2020 corrections, eV per atom: -6.10
Offset from the most stable computed form, eV/atom: 0.077

Cell lengths 5.9766, 5.0422, 16.6191 Å; angles 81.25, 90.00, 90.00 degrees
Sites, in units of the cell vectors:
O: 0.6151 0.0169 0.4172
P: 0.4250 0.8984 0.6500
Tl: 0.4393 0.2963 0.2868
Tl: 0.0016 0.7827 0.2922
O: 0.1433 0.3638 0.9778
O: 0.3674 0.7813 0.1117
P: 0.1527 0.1623 0.9157
Tl: 0.4769 0.6005 0.4951
P: 0.8473 0.1623 0.4157
O: 0.1504 0.3297 0.8267
P: 0.5750 0.8984 0.1500
O: 0.4182 0.7954 0.7444
O: 0.6326 0.7813 0.6117
O: 0.5600 0.2138 0.1404
O: 0.8567 0.3638 0.4778
O: 0.9547 0.9637 0.9245
O: 0.7947 0.8252 0.1084
Tl: 0.9984 0.7827 0.7922
O: 0.2053 0.8252 0.6084
O: 0.5818 0.7954 0.2444
O: 0.8496 0.3297 0.3267
O: 0.3849 0.0169 0.9172
Tl: 0.0203 0.3915 0.1220
Tl: 0.5231 0.6005 0.9951
Tl: 0.9797 0.3915 0.6220
O: 0.4400 0.2138 0.6404
O: 0.0453 0.9637 0.4245
Tl: 0.5607 0.2963 0.7868

Entry 3:
An optimized crystal structure of Tl2PO3. Source: the Materials Project, functional GGA-PBE.

Results
Energy of formation, eV per atom: -1.867
Energy with MP2020 corrections, eV per atom: -6.03

Cell lengths 5.5106, 12.7017, 13.3295 Å; angles 90.00, 90.00, 90.00 degrees
Sites, in units of the cell vectors:
O: 0.6043 0.0078 0.8427
O: 0.8050 0.9396 0.0782
Tl: 0.4973 0.6485 0.9203
P: 0.0235 0.0553 0.4360
O: 0.3957 0.4922 0.3427
Tl: 0.5613 0.1444 0.2848
O: 0.0891 0.8385 0.5332
Tl: 0.5613 0.6444 0.2152
O: 0.5891 0.1615 0.9668
O: 0.9109 0.1615 0.4668
P: 0.4765 0.0553 0.9360
O: 0.4109 0.3385 0.4668
Tl: 0.0613 0.8556 0.2152
O: 0.9109 0.6615 0.0332
P: 0.0235 0.5553 0.0640
O: 0.3050 0.0604 0.4218
Tl: 0.4973 0.1485 0.5797
P: 0.4765 0.5553 0.5640
Tl: 0.0613 0.3556 0.2848
O: 0.4109 0.8385 0.0332
Tl: 0.9973 0.3515 0.5797
Tl: 0.5027 0.3515 0.0797
O: 0.8050 0.4396 0.4218
O: 0.3957 0.9922 0.1573
P: 0.5235 0.9447 0.0640
O: 0.1950 0.0604 0.9218
O: 0.6950 0.4396 0.9218
P: 0.5235 0.4447 0.4360
O: 0.6043 0.5078 0.6573
O: 0.3050 0.5604 0.0782
O: 0.1950 0.5604 0.5782
Tl: 0.9387 0.6444 0.7152
O: 0.0891 0.3385 0.9668
O: 0.1043 0.4922 0.8427
Tl: 0.4387 0.8556 0.7152
P: 0.9765 0.4447 0.9360
Tl: 0.0027 0.1485 0.0797
O: 0.1043 0.9922 0.6573
O: 0.8957 0.5078 0.1573
O: 0.5891 0.6615 0.5332
Tl: 0.0027 0.6485 0.4203
Tl: 0.9387 0.1444 0.7848
O: 0.6950 0.9396 0.5782
P: 0.9765 0.9447 0.5640
Tl: 0.9973 0.8515 0.9203
Tl: 0.5027 0.8515 0.4203
O: 0.8957 0.0078 0.3427
Tl: 0.4387 0.3556 0.7848